Computed, not measured: a relaxed P4N3Cl11 crystal at the r2SCAN level of DFT.

a b c (Å): 7.885 7.885 7.885
angles (deg): 86.22 86.22 86.22
Fractional coordinates of all 18 atoms:
P  0.377  0.377  0.377
P  0.508  0.585  0.086
P  0.086  0.508  0.585
P  0.585  0.086  0.508
N  0.472  0.252  0.512
N  0.512  0.472  0.252
N  0.252  0.512  0.472
Cl  0.238  0.238  0.238
Cl  0.054  0.712  0.718
Cl  0.718  0.054  0.712
Cl  0.712  0.718  0.054
Cl  0.065  0.310  0.752
Cl  0.752  0.065  0.310
Cl  0.310  0.752  0.065
Cl  0.878  0.510  0.453
Cl  0.453  0.878  0.510
Cl  0.510  0.453  0.878
Cl  0.991  0.991  0.991

- Total moment: 0.0000 μB/atom
- Calculated density: 1.89 g cm⁻³
- Raw total energy: -7.9639 eV per atom
- Space-group type: R3